Record 1
Computed, not measured: a relaxed structure of Y5U2O12 at the GGA-PBE level of DFT.

Cell: 6.5936 6.5980 25.7813 Å, 92.98 92.64 99.01°
Space group P1 (No. 1)
One atom of each set of equivalent atoms:
Y1 0.0000 0.0000 0.0000 [1 per cell]
Y2 0.9996 0.2420 0.7052 [1 per cell]
Y3 0.0119 0.7256 0.2705 [1 per cell]
Y4 0.0371 0.4080 0.5742 [1 per cell]
Y5 0.0565 0.1271 0.8450 [1 per cell]
Y6 0.0574 0.8861 0.1358 [1 per cell]
Y7 0.2497 0.4922 0.9552 [1 per cell]
Y8 0.2874 0.6577 0.8244 [1 per cell]
Y9 0.3048 0.1372 0.3863 [1 per cell]
Y10 0.3067 0.3785 0.0949 [1 per cell]
Y11 0.4998 0.5000 0.4999 [1 per cell]
Y12 0.5087 0.7441 0.2062 [1 per cell]
Y13 0.5366 0.9082 0.0744 [1 per cell]
Y14 0.5579 0.3877 0.6357 [1 per cell]
Y15 0.5607 0.6303 0.3441 [1 per cell]
Y16 0.7483 0.9917 0.4555 [1 per cell]
Y17 0.7501 0.7497 0.7500 [1 per cell]
Y18 0.7877 0.1498 0.3243 [1 per cell]
Y19 0.8066 0.8770 0.5952 [1 per cell]
Y20 0.8080 0.6378 0.8857 [1 per cell]
U1 0.0281 0.5624 0.4218 [1 per cell]
U2 0.2533 0.2530 0.2495 [1 per cell]
U3 0.2650 0.9728 0.5210 [1 per cell]
U4 0.2788 0.8128 0.6727 [1 per cell]
U5 0.5155 0.2226 0.7709 [1 per cell]
U6 0.5287 0.0630 0.9227 [1 per cell]
U7 0.7654 0.4734 0.0208 [1 per cell]
U8 0.7820 0.3151 0.1720 [1 per cell]
O1 0.0549 0.3564 0.0262 [1 per cell]
O2 0.0709 0.4508 0.8763 [1 per cell]
O3 0.0801 0.2385 0.1537 [1 per cell]
O4 0.1001 0.0433 0.3141 [1 per cell]
O5 0.1211 0.8915 0.4357 [1 per cell]
O6 0.1426 0.8122 0.5925 [1 per cell]
O7 0.1658 0.5706 0.5009 [1 per cell]
O8 0.1868 0.4858 0.6577 [1 per cell]
O9 0.2177 0.3330 0.7773 [1 per cell]
O10 0.2313 0.1398 0.9411 [1 per cell]
O11 0.2422 0.0354 0.0672 [1 per cell]
O12 0.2417 0.9383 0.2180 [1 per cell]
O13 0.3056 0.5830 0.2743 [1 per cell]
O14 0.3205 0.7022 0.1271 [1 per cell]
O15 0.3217 0.4900 0.4017 [1 per cell]
O16 0.3474 0.2825 0.5646 [1 per cell]
O17 0.3713 0.1416 0.6859 [1 per cell]
O18 0.3926 0.0633 0.8426 [1 per cell]
O19 0.4172 0.8215 0.7517 [1 per cell]
O20 0.4368 0.7356 0.9077 [1 per cell]
O21 0.4669 0.5842 0.0274 [1 per cell]
O22 0.4799 0.3904 0.1908 [1 per cell]
O23 0.4817 0.1783 0.4668 [1 per cell]
O24 0.4929 0.2813 0.3158 [1 per cell]
O25 0.5542 0.8562 0.5263 [1 per cell]
O26 0.5679 0.9504 0.3774 [1 per cell]
O27 0.5724 0.7404 0.6525 [1 per cell]
O28 0.5981 0.5322 0.8145 [1 per cell]
O29 0.6211 0.3922 0.9359 [1 per cell]
O30 0.6418 0.3142 0.0924 [1 per cell]
O31 0.6670 0.0716 0.0018 [1 per cell]
O32 0.6895 0.9888 0.1573 [1 per cell]
O33 0.7038 0.8350 0.2792 [1 per cell]
O34 0.7324 0.6392 0.4415 [1 per cell]
O35 0.7332 0.4280 0.7163 [1 per cell]
O36 0.7422 0.5351 0.5672 [1 per cell]
O37 0.8052 0.1061 0.7760 [1 per cell]
O38 0.8211 0.2010 0.6263 [1 per cell]
O39 0.8224 0.9904 0.9025 [1 per cell]
O40 0.8484 0.7827 0.0646 [1 per cell]
O41 0.8686 0.6437 0.1861 [1 per cell]
O42 0.8946 0.5638 0.3434 [1 per cell]
O43 0.9154 0.3131 0.2507 [1 per cell]
O44 0.9366 0.2350 0.4084 [1 per cell]
O45 0.9676 0.0826 0.5275 [1 per cell]
O46 0.9814 0.8895 0.6910 [1 per cell]
O47 0.9833 0.6783 0.9663 [1 per cell]
O48 0.9927 0.7851 0.8171 [1 per cell]

Calculated values
E_form in eV per atom: -3.91
Total magnetic moment in μB/cell: 0.12
Energy with MP2020 corrections in eV per atom: -9.928
Offset from the most stable computed form in meV per atom: 21

---

Record 2
Computed, not measured: a relaxed structure of Li3Bi3P8O29 at the GGA-PBE level of DFT.

Cell: 17.4607 10.1362 14.3676 Å, 90.00 90.71 90.00°
Space group C2/c (No. 15)
One atom of each set of equivalent atoms:
Li1 0.0000 0.0000 0.0000 [4 per cell]
Li2 0.1169 0.2043 0.0538 [8 per cell]
Bi1 0.0000 0.4389 0.7500 [4 per cell]
Bi2 0.2179 0.2172 0.2597 [8 per cell]
P1 0.0385 0.2585 0.3470 [8 per cell]
P2 0.1130 0.1967 0.8446 [8 per cell]
P3 0.1455 0.0666 0.6563 [8 per cell]
P4 0.1658 0.4953 0.1232 [8 per cell]
O1 0.0000 0.2124 0.2500 [4 per cell]
O2 0.0086 0.2027 0.0764 [8 per cell]
O3 0.0400 0.2849 0.8412 [8 per cell]
O4 0.0467 0.4114 0.3445 [8 per cell]
O5 0.0886 0.0934 0.5806 [8 per cell]
O6 0.1039 0.4142 0.6689 [8 per cell]
O7 0.1091 0.1174 0.9327 [8 per cell]
O8 0.1095 0.0987 0.7568 [8 per cell]
O9 0.1199 0.1963 0.3511 [8 per cell]
O10 0.1557 0.3483 0.1600 [8 per cell]
O11 0.1607 0.0860 0.1577 [8 per cell]
O12 0.1611 0.4889 0.0193 [8 per cell]
O13 0.1859 0.2831 0.8371 [8 per cell]
O14 0.2241 0.1387 0.6502 [8 per cell]
O15 0.2457 0.4536 0.6599 [8 per cell]

Calculated values
E_form in eV per atom: -2.28
Total magnetic moment in μB/cell: 0.00
Energy with MP2020 corrections in eV per atom: -7.033
Offset from the most stable computed form in meV per atom: 0

---

Record 3
Computed, not measured: a relaxed structure of KLiH4S2N2O6 at the GGA-PBE level of DFT.

Cell: 5.3024 8.5688 9.0031 Å, 90.00 104.84 90.00°
Space group P2_1 (No. 4)
One atom of each set of equivalent atoms:
K1 0.2024 0.0000 0.0354 [2 per cell]
Li1 0.0930 0.3073 0.6566 [2 per cell]
H1 0.3188 0.4530 0.4210 [2 per cell]
H2 0.3731 0.0228 0.5477 [2 per cell]
H3 0.4587 0.6586 0.6415 [2 per cell]
H4 0.4872 0.7919 0.7850 [2 per cell]
S1 0.0870 0.6913 0.7059 [2 per cell]
S2 0.3581 0.6326 0.2466 [2 per cell]
N1 0.4103 0.6854 0.7428 [2 per cell]
N2 0.4320 0.5508 0.4208 [2 per cell]
O1 0.0010 0.0282 0.3228 [2 per cell]
O2 0.0181 0.2894 0.4314 [2 per cell]
O3 0.0301 0.7574 0.8434 [2 per cell]
O4 0.0813 0.6770 0.2193 [2 per cell]
O5 0.4002 0.5206 0.1317 [2 per cell]
O6 0.4692 0.2696 0.7369 [2 per cell]

Calculated values
E_form in eV per atom: -1.42
Total magnetic moment in μB/cell: 0.00
Energy with MP2020 corrections in eV per atom: -5.868